[1]
The following is a DFT calculation (PBE+U) of crystalline Ca7NiIr2O12 at its relaxed geometry.

```
data_Ca7NiIr2O12
_chemical_formula_sum 'Ca7 Ni1 Ir2 O12'
_space_group_name_H-M_alt 'P 1'
_space_group_IT_number 1
_space_group_name_Hall 'P 1'
_cell_length_a 6.550
_cell_length_b 6.555
_cell_length_c 6.550
_cell_angle_alpha 90.98
_cell_angle_beta 90.93
_cell_angle_gamma 90.92
loop_
_atom_site_label
_atom_site_type_symbol
_atom_site_fract_x
_atom_site_fract_y
_atom_site_fract_z
_atom_site_occupancy
O1 O 0.796 0.573 0.444 1
O2 O 0.202 0.416 0.539 1
O3 O 0.444 0.796 0.573 1
O4 O 0.704 0.056 0.927 1
O5 O 0.298 0.961 0.084 1
O6 O 0.539 0.202 0.416 1
O7 O 0.927 0.704 0.056 1
O8 O 0.416 0.539 0.202 1
O9 O 0.056 0.927 0.704 1
O10 O 0.084 0.298 0.961 1
O11 O 0.961 0.084 0.298 1
O12 O 0.573 0.444 0.796 1
Ni1 Ni 0.250 0.250 0.250 1
Ca1 Ca 0.386 0.114 0.750 1
Ca2 Ca 0.606 0.894 0.250 1
Ca3 Ca 0.750 0.386 0.114 1
Ca4 Ca 0.114 0.750 0.386 1
Ca5 Ca 0.250 0.606 0.894 1
Ca6 Ca 0.750 0.750 0.750 1
Ca7 Ca 0.894 0.250 0.606 1
Ir1 Ir 0.002 0.002 0.002 1
Ir2 Ir 0.498 0.498 0.498 1
```

Values from the calculation:
The value obtained for the final energy is -6.441 eV/atom.


[2]
The following is a DFT calculation (PBE+U) of crystalline Rb2MoSeO6 at its relaxed geometry.

```
data_Rb2MoSeO6
_chemical_formula_sum 'Rb8 Mo4 Se4 O24'
_space_group_name_H-M_alt 'P 1'
_space_group_IT_number 1
_space_group_name_Hall 'P 1'
_cell_length_a 6.356
_cell_length_b 7.933
_cell_length_c 14.836
_cell_angle_alpha 90.00
_cell_angle_beta 90.00
_cell_angle_gamma 90.00
loop_
_atom_site_label
_atom_site_type_symbol
_atom_site_fract_x
_atom_site_fract_y
_atom_site_fract_z
_atom_site_occupancy
O1 O 0.450 0.389 0.644 1
O2 O 0.250 0.744 0.001 1
O3 O 0.250 0.170 0.776 1
O4 O 0.250 0.244 0.499 1
O5 O 0.026 0.450 0.834 1
O6 O 0.750 0.330 0.276 1
O7 O 0.550 0.611 0.356 1
O8 O 0.750 0.830 0.224 1
O9 O 0.974 0.050 0.334 1
O10 O 0.474 0.450 0.834 1
O11 O 0.550 0.111 0.144 1
O12 O 0.950 0.611 0.356 1
O13 O 0.050 0.889 0.856 1
O14 O 0.026 0.950 0.666 1
O15 O 0.750 0.756 0.501 1
O16 O 0.950 0.111 0.144 1
O17 O 0.450 0.889 0.856 1
O18 O 0.474 0.950 0.666 1
O19 O 0.750 0.256 0.999 1
O20 O 0.250 0.670 0.724 1
O21 O 0.526 0.050 0.334 1
O22 O 0.974 0.550 0.166 1
O23 O 0.050 0.389 0.644 1
O24 O 0.526 0.550 0.166 1
Mo1 Mo 0.750 0.101 0.267 1
Mo2 Mo 0.750 0.601 0.233 1
Mo3 Mo 0.250 0.399 0.767 1
Mo4 Mo 0.250 0.899 0.733 1
Se1 Se 0.250 0.918 0.937 1
Se2 Se 0.250 0.418 0.563 1
Se3 Se 0.750 0.582 0.437 1
Se4 Se 0.750 0.082 0.063 1
Rb1 Rb 0.750 0.656 0.697 1
Rb2 Rb 0.250 0.877 0.464 1
Rb3 Rb 0.750 0.156 0.803 1
Rb4 Rb 0.750 0.123 0.536 1
Rb5 Rb 0.250 0.377 0.036 1
Rb6 Rb 0.750 0.623 0.964 1
Rb7 Rb 0.250 0.344 0.303 1
Rb8 Rb 0.250 0.844 0.197 1
```

Values from the calculation:
The value obtained for the final energy is -5.785 eV/atom.


[3]
The following is a DFT calculation (PBE+U) of crystalline CoBP2HPbO9 at its relaxed geometry.

```
data_CoBP2HPbO9
_chemical_formula_sum 'Co2 B2 P4 H2 Pb2 O18'
_space_group_name_H-M_alt 'P 1'
_space_group_IT_number 1
_space_group_name_Hall 'P 1'
_cell_length_a 5.274
_cell_length_b 8.077
_cell_length_c 8.448
_cell_angle_alpha 89.86
_cell_angle_beta 79.55
_cell_angle_gamma 87.87
loop_
_atom_site_label
_atom_site_type_symbol
_atom_site_fract_x
_atom_site_fract_y
_atom_site_fract_z
_atom_site_occupancy
B1 B 0.131 0.262 0.456 1
B2 B 0.869 0.738 0.544 1
O1 O 0.481 0.969 0.806 1
O2 O 0.979 0.573 0.192 1
O3 O 0.928 0.872 0.648 1
O4 O 0.519 0.031 0.194 1
O5 O 0.691 0.790 0.437 1
O6 O 0.445 0.630 0.189 1
O7 O 0.737 0.605 0.649 1
O8 O 0.786 0.792 0.938 1
O9 O 0.901 0.090 0.858 1
O10 O 0.877 0.317 0.551 1
O11 O 0.555 0.370 0.811 1
O12 O 0.309 0.210 0.563 1
O13 O 0.263 0.395 0.351 1
O14 O 0.123 0.683 0.449 1
O15 O 0.072 0.128 0.352 1
O16 O 0.214 0.208 0.062 1
O17 O 0.021 0.427 0.808 1
O18 O 0.099 0.910 0.142 1
P1 P 0.805 0.428 0.707 1
P2 P 0.231 0.065 0.185 1
P3 P 0.195 0.572 0.293 1
P4 P 0.769 0.935 0.815 1
Co1 Co 0.737 0.805 0.192 1
Co2 Co 0.263 0.195 0.808 1
Pb1 Pb 0.267 0.698 0.922 1
Pb2 Pb 0.733 0.302 0.078 1
H1 H 0.514 0.759 0.478 1
H2 H 0.486 0.241 0.522 1
```

Values from the calculation:
The value obtained for the final energy is -6.884 eV/atom.


[4]
The following is a DFT calculation (PBE+U) of crystalline TiMn2Fe3P6O24 at its relaxed geometry.

```
data_TiMn2Fe3P6O24
_chemical_formula_sum 'Ti1 Mn2 Fe3 P6 O24'
_space_group_name_H-M_alt 'P 1'
_space_group_IT_number 1
_space_group_name_Hall 'P 1'
_cell_length_a 8.618
_cell_length_b 8.618
_cell_length_c 8.618
_cell_angle_alpha 60.29
_cell_angle_beta 60.29
_cell_angle_gamma 60.29
loop_
_atom_site_label
_atom_site_type_symbol
_atom_site_fract_x
_atom_site_fract_y
_atom_site_fract_z
_atom_site_occupancy
Ti1 Ti 0.145 0.145 0.145 1
O1 O 0.552 0.761 0.412 1
O2 O 0.260 0.063 0.914 1
O3 O 0.317 0.504 0.111 1
O4 O 0.914 0.260 0.063 1
O5 O 0.504 0.111 0.317 1
O6 O 0.412 0.552 0.761 1
O7 O 0.111 0.317 0.504 1
O8 O 0.381 0.006 0.185 1
O9 O 0.737 0.940 0.088 1
O10 O 0.063 0.914 0.260 1
O11 O 0.613 0.006 0.813 1
O12 O 0.940 0.088 0.737 1
O13 O 0.241 0.589 0.439 1
O14 O 0.589 0.439 0.241 1
O15 O 0.689 0.492 0.888 1
O16 O 0.006 0.813 0.613 1
O17 O 0.006 0.185 0.381 1
O18 O 0.185 0.381 0.006 1
O19 O 0.088 0.737 0.940 1
O20 O 0.439 0.241 0.589 1
O21 O 0.492 0.888 0.689 1
O22 O 0.888 0.689 0.492 1
O23 O 0.813 0.613 0.006 1
O24 O 0.761 0.412 0.552 1
Mn1 Mn 0.499 0.499 0.499 1
Mn2 Mn 0.999 0.999 0.999 1
Fe1 Fe 0.645 0.645 0.645 1
Fe2 Fe 0.854 0.854 0.854 1
Fe3 Fe 0.355 0.355 0.355 1
P1 P 0.456 0.044 0.750 1
P2 P 0.044 0.750 0.456 1
P3 P 0.251 0.544 0.956 1
P4 P 0.544 0.956 0.251 1
P5 P 0.956 0.251 0.544 1
P6 P 0.750 0.456 0.044 1
```

Values from the calculation:
The value obtained for the final energy is -7.409 eV/atom.


[5]
The following is a DFT calculation (PBE+U) of crystalline Li4V3Sn3Te2O16 at its relaxed geometry.

```
data_Li4V3Sn3Te2O16
_chemical_formula_sum 'Li8 V6 Sn6 Te4 O32'
_space_group_name_H-M_alt 'P 1'
_space_group_IT_number 1
_space_group_name_Hall 'P 1'
_cell_length_a 6.259
_cell_length_b 10.961
_cell_length_c 10.133
_cell_angle_alpha 89.74
_cell_angle_beta 89.68
_cell_angle_gamma 90.26
loop_
_atom_site_label
_atom_site_type_symbol
_atom_site_fract_x
_atom_site_fract_y
_atom_site_fract_z
_atom_site_occupancy
O1 O 0.502 0.340 0.602 1
O2 O 0.265 0.243 0.331 1
O3 O 0.765 0.743 0.331 1
O4 O 0.001 0.000 0.318 1
O5 O 0.726 0.427 0.098 1
O6 O 0.999 0.480 0.844 1
O7 O 0.994 0.994 0.807 1
O8 O 0.228 0.268 0.845 1
O9 O 0.732 0.239 0.326 1
O10 O 0.770 0.929 0.105 1
O11 O 0.494 0.650 0.099 1
O12 O 0.503 0.019 0.336 1
O13 O 0.250 0.075 0.595 1
O14 O 0.749 0.575 0.595 1
O15 O 0.994 0.150 0.099 1
O16 O 0.501 0.500 0.318 1
O17 O 0.998 0.669 0.105 1
O18 O 0.499 0.980 0.844 1
O19 O 0.494 0.494 0.807 1
O20 O 0.728 0.768 0.845 1
O21 O 0.232 0.739 0.326 1
O22 O 0.505 0.842 0.609 1
O23 O 0.781 0.262 0.847 1
O24 O 0.003 0.520 0.336 1
O25 O 0.752 0.072 0.596 1
O26 O 0.251 0.572 0.596 1
O27 O 0.226 0.927 0.098 1
O28 O 0.269 0.429 0.105 1
O29 O 0.498 0.169 0.105 1
O30 O 0.281 0.762 0.847 1
O31 O 0.002 0.840 0.602 1
O32 O 0.005 0.342 0.609 1
Sn1 Sn 0.749 0.586 0.213 1
Sn2 Sn 0.251 0.914 0.713 1
Sn3 Sn 0.499 0.333 0.215 1
Sn4 Sn 0.751 0.414 0.714 1
Sn5 Sn 0.249 0.086 0.213 1
Sn6 Sn 0.999 0.833 0.215 1
V1 V 0.251 0.585 0.212 1
V2 V 0.751 0.085 0.212 1
V3 V 0.503 0.669 0.712 1
V4 V 0.003 0.169 0.712 1
V5 V 0.748 0.913 0.715 1
V6 V 0.247 0.412 0.715 1
Li1 Li 0.000 0.333 0.400 1
Li2 Li 0.500 0.833 0.400 1
Li3 Li 0.494 0.499 0.498 1
Li4 Li 0.489 0.503 0.988 1
Li5 Li 0.994 0.000 0.498 1
Li6 Li 0.989 0.003 0.988 1
Li7 Li 0.003 0.668 0.904 1
Li8 Li 0.503 0.168 0.904 1
Te1 Te 0.010 0.656 0.497 1
Te2 Te 0.007 0.332 0.979 1
Te3 Te 0.507 0.832 0.978 1
Te4 Te 0.510 0.156 0.497 1
```

Values from the calculation:
The value obtained for the final energy is -6.252 eV/atom.


[6]
The following is a DFT calculation (PBE+U) of crystalline MgMo2Rh4O12 at its relaxed geometry.

```
data_MgMo2Rh4O12
_chemical_formula_sum 'Mg1 Mo2 Rh4 O12'
_space_group_name_H-M_alt 'P 1'
_space_group_IT_number 1
_space_group_name_Hall 'P 1'
_cell_length_a 4.724
_cell_length_b 4.724
_cell_length_c 9.789
_cell_angle_alpha 90.00
_cell_angle_beta 90.00
_cell_angle_gamma 87.70
loop_
_atom_site_label
_atom_site_type_symbol
_atom_site_fract_x
_atom_site_fract_y
_atom_site_fract_z
_atom_site_occupancy
O1 O 0.697 0.697 0.678 1
O2 O 0.304 0.304 0.321 1
O3 O 0.699 0.699 0.000 1
O4 O 0.803 0.194 0.155 1
O5 O 0.188 0.780 0.500 1
O6 O 0.803 0.194 0.845 1
O7 O 0.194 0.803 0.845 1
O8 O 0.302 0.302 0.000 1
O9 O 0.780 0.188 0.500 1
O10 O 0.304 0.304 0.679 1
O11 O 0.194 0.803 0.155 1
O12 O 0.697 0.697 0.322 1
Mo1 Mo 0.568 0.568 0.500 1
Mo2 Mo 0.996 0.996 0.000 1
Rh1 Rh 0.497 0.497 0.162 1
Rh2 Rh 0.985 0.985 0.689 1
Rh3 Rh 0.497 0.497 0.838 1
Rh4 Rh 0.985 0.985 0.311 1
Mg1 Mg 0.204 0.204 0.500 1
```

Values from the calculation:
Its energy above the most stable polymorph in this dataset is 0.147 eV/atom. The value obtained for the final energy is -6.514 eV/atom.


[7]
The following is a DFT calculation (PBE+U) of crystalline Li4Mn3O3F9 at its relaxed geometry.

```
data_Li4Mn3O3F9
_chemical_formula_sum 'Li4 Mn3 O3 F9'
_space_group_name_H-M_alt 'P 1'
_space_group_IT_number 1
_space_group_name_Hall 'P 1'
_cell_length_a 5.666
_cell_length_b 5.858
_cell_length_c 6.270
_cell_angle_alpha 98.45
_cell_angle_beta 99.49
_cell_angle_gamma 96.98
loop_
_atom_site_label
_atom_site_type_symbol
_atom_site_fract_x
_atom_site_fract_y
_atom_site_fract_z
_atom_site_occupancy
F1 F 0.411 0.588 0.846 1
F2 F 0.197 0.592 0.400 1
F3 F 0.097 0.303 0.964 1
F4 F 0.613 0.842 0.433 1
F5 F 0.904 0.690 0.029 1
F6 F 0.691 0.041 0.860 1
F7 F 0.068 0.893 0.719 1
F8 F 0.382 0.178 0.537 1
F9 F 0.808 0.382 0.577 1
O1 O 0.567 0.401 0.190 1
O2 O 0.896 0.099 0.261 1
O3 O 0.322 0.951 0.125 1
Li1 Li 0.885 0.680 0.439 1
Li2 Li 0.683 0.392 0.860 1
Li3 Li 0.138 0.340 0.600 1
Li4 Li 0.398 0.857 0.677 1
Mn1 Mn 0.997 0.001 0.006 1
Mn2 Mn 0.593 0.150 0.329 1
Mn3 Mn 0.352 0.619 0.148 1
```

Values from the calculation:
The value obtained for the final energy is -5.560 eV/atom.


[8]
The following is a DFT calculation (PBE+U) of crystalline Mn11Cu7O24 at its relaxed geometry.

```
data_Mn11Cu7O24
_chemical_formula_sum 'Mn11 Cu7 O24'
_space_group_name_H-M_alt 'P 1'
_space_group_IT_number 1
_space_group_name_Hall 'P 1'
_cell_length_a 6.064
_cell_length_b 8.356
_cell_length_c 10.368
_cell_angle_alpha 113.76
_cell_angle_beta 105.05
_cell_angle_gamma 89.80
loop_
_atom_site_label
_atom_site_type_symbol
_atom_site_fract_x
_atom_site_fract_y
_atom_site_fract_z
_atom_site_occupancy
Cu1 Cu 0.997 0.998 0.996 1
Cu2 Cu 0.583 0.709 0.667 1
Cu3 Cu 0.499 0.752 0.997 1
Cu4 Cu 0.340 0.335 0.666 1
Cu5 Cu 0.169 0.421 0.337 1
Cu6 Cu 0.672 0.669 0.338 1
Cu7 Cu 0.826 0.082 0.667 1
O1 O 0.100 0.947 0.665 1
O2 O 0.407 0.809 0.340 1
O3 O 0.948 0.806 0.336 1
O4 O 0.248 0.647 0.514 1
O5 O 0.070 0.474 0.672 1
O6 O 0.098 0.956 0.183 1
O7 O 0.092 0.467 0.156 1
O8 O 0.614 0.463 0.667 1
O9 O 0.917 0.772 0.820 1
O10 O 0.771 0.621 0.517 1
O11 O 0.396 0.798 0.817 1
O12 O 0.581 0.977 0.179 1
O13 O 0.901 0.282 0.339 1
O14 O 0.227 0.612 0.998 1
O15 O 0.724 0.138 0.001 1
O16 O 0.929 0.312 0.851 1
O17 O 0.408 0.286 0.846 1
O18 O 0.262 0.138 0.995 1
O19 O 0.434 0.279 0.330 1
O20 O 0.738 0.127 0.482 1
O21 O 0.571 0.441 0.150 1
O22 O 0.256 0.107 0.487 1
O23 O 0.767 0.611 0.994 1
O24 O 0.551 0.955 0.668 1
Mn1 Mn 0.089 0.709 0.167 1
Mn2 Mn 0.411 0.043 0.833 1
Mn3 Mn 0.581 0.209 0.167 1
Mn4 Mn 0.083 0.709 0.667 1
Mn5 Mn 0.418 0.042 0.333 1
Mn6 Mn 0.917 0.542 0.832 1
Mn7 Mn 0.750 0.377 0.000 1
Mn8 Mn 0.919 0.043 0.334 1
Mn9 Mn 0.752 0.376 0.501 1
Mn10 Mn 0.250 0.376 0.000 1
Mn11 Mn 0.255 0.877 0.502 1
```

Values from the calculation:
Its energy above the most stable polymorph in this dataset is 0.000 eV/atom. The value obtained for the final energy is -6.697 eV/atom.


[9]
The following is a DFT calculation (PBE+U) of crystalline MnH4NF3 at its relaxed geometry.

```
data_MnH4NF3
_chemical_formula_sum 'Mn4 H16 N4 F12'
_space_group_name_H-M_alt 'P 1'
_space_group_IT_number 1
_space_group_name_Hall 'P 1'
_cell_length_a 6.017
_cell_length_b 6.039
_cell_length_c 8.721
_cell_angle_alpha 90.00
_cell_angle_beta 90.00
_cell_angle_gamma 90.00
loop_
_atom_site_label
_atom_site_type_symbol
_atom_site_fract_x
_atom_site_fract_y
_atom_site_fract_z
_atom_site_occupancy
H1 H 0.571 0.077 0.847 1
H2 H 0.168 0.521 0.250 1
H3 H 0.929 0.577 0.153 1
H4 H 0.464 0.165 0.250 1
H5 H 0.429 0.923 0.153 1
H6 H 0.071 0.423 0.847 1
H7 H 0.536 0.835 0.750 1
H8 H 0.071 0.423 0.653 1
H9 H 0.332 0.021 0.750 1
H10 H 0.668 0.979 0.250 1
H11 H 0.571 0.077 0.653 1
H12 H 0.429 0.923 0.347 1
H13 H 0.832 0.479 0.750 1
H14 H 0.964 0.335 0.250 1
H15 H 0.036 0.665 0.750 1
H16 H 0.929 0.577 0.347 1
F1 F 0.724 0.224 0.987 1
F2 F 0.524 0.525 0.750 1
F3 F 0.976 0.025 0.250 1
F4 F 0.476 0.475 0.250 1
F5 F 0.224 0.276 0.987 1
F6 F 0.024 0.975 0.750 1
F7 F 0.276 0.776 0.013 1
F8 F 0.776 0.724 0.013 1
F9 F 0.724 0.224 0.513 1
F10 F 0.776 0.724 0.487 1
F11 F 0.276 0.776 0.487 1
F12 F 0.224 0.276 0.513 1
N1 N 0.003 0.497 0.750 1
N2 N 0.997 0.503 0.250 1
N3 N 0.497 0.997 0.250 1
N4 N 0.503 0.003 0.750 1
Mn1 Mn 0.500 0.500 0.500 1
Mn2 Mn 0.000 0.000 0.000 1
Mn3 Mn 0.500 0.500 0.000 1
Mn4 Mn 0.000 0.000 0.500 1
```

Values from the calculation:
The value obtained for the final energy is -5.398 eV/atom.